Entry 1:
Crystalline SmIn at its relaxed geometry. Source: the Materials Project, functional meta-GGA r2SCAN.

Structure (POSCAR):
```
SmIn
1.0
-2.866 1.625 1.932
-1.142 -3.441 1.200
2.252 0.323 3.068
In Sm
1 1
direct
0.000 0.000 0.000
0.500 0.500 0.500
```

For the electronic total energy, the calculation gives -26.78 eV/atom. The space group is Pm-3m (221). The calculation puts the formation energy at -0.625 eV/atom. The volume is 27.85 Å³/atom.


Entry 2:
Crystalline BiClO at its relaxed geometry. Source: the Materials Project, functional meta-GGA r2SCAN.

Structure (POSCAR):
```
BiClO
1.0
-3.633 -1.319 0.470
1.381 -3.590 0.600
0.443 1.398 7.348
Cl Bi O
2 2 2
direct
0.750 0.750 0.346
0.250 0.250 0.654
0.750 0.750 0.832
0.250 0.250 0.168
0.250 0.750 0.000
0.750 0.250 0.000
```

For the electronic total energy, the calculation gives -24.94 eV/atom. The space group is P4/nmm (129). The calculation puts the formation energy at -1.400 eV/atom. The volume is 18.93 Å³/atom.


Entry 3:
Crystalline MoP4 at its relaxed geometry. Source: the Materials Project, functional meta-GGA r2SCAN.

Structure (POSCAR):
```
MoP4
1.0
-4.386 -0.505 2.964
-3.771 -3.736 -2.478
0.168 -4.477 4.257
P Mo
8 2
direct
0.814 0.684 0.813
0.186 0.316 0.187
0.627 0.184 0.187
0.373 0.816 0.813
0.502 0.311 0.553
0.945 0.189 0.553
0.055 0.811 0.447
0.498 0.689 0.447
0.940 0.750 0.119
0.060 0.250 0.881
```

For the electronic total energy, the calculation gives -12.80 eV/atom. The space group is C2/c (15). The calculation puts the formation energy at -0.380 eV/atom. The volume is 16.24 Å³/atom.


Entry 4:
Crystalline ReO2 at its relaxed geometry. Source: the Materials Project, functional meta-GGA r2SCAN.

Structure (POSCAR):
```
ReO2
1.0
4.585 0.000 0.000
0.000 4.854 0.000
0.000 0.000 5.661
O Re
8 4
direct
0.409 0.741 0.860
0.409 0.759 0.360
0.909 0.741 0.140
0.591 0.241 0.640
0.091 0.241 0.360
0.091 0.259 0.860
0.591 0.259 0.140
0.909 0.759 0.640
0.250 0.500 0.607
0.750 0.500 0.393
0.250 0.000 0.107
0.750 0.000 0.893
```

For the electronic total energy, the calculation gives -23.02 eV/atom. The space group is Pbcn (60). The calculation puts the formation energy at -1.570 eV/atom. The volume is 10.50 Å³/atom.


Entry 5:
Crystalline Ga5CuSe8 at its relaxed geometry. Source: the Materials Project, functional meta-GGA r2SCAN.

Structure (POSCAR):
```
Ga5CuSe8
1.0
5.474 0.000 0.000
0.000 5.474 0.000
0.000 0.000 11.195
Se Ga Cu
8 5 1
direct
0.241 0.759 0.380
0.241 0.241 0.620
0.265 0.735 0.883
0.735 0.735 0.117
0.265 0.265 0.117
0.735 0.265 0.883
0.759 0.241 0.380
0.759 0.759 0.620
0.000 0.500 0.745
0.000 0.500 0.255
0.500 0.000 0.745
0.500 0.000 0.255
0.000 0.000 0.000
0.500 0.500 0.500
```

For the electronic total energy, the calculation gives -13.70 eV/atom. The space group is P-42m (111). The calculation puts the formation energy at -0.663 eV/atom. The volume is 23.96 Å³/atom.


Entry 6:
Crystalline Ba2B6H4O13 at its relaxed geometry. Source: the Materials Project, functional meta-GGA r2SCAN.

Structure (POSCAR):
```
Ba2B6H4O13
1.0
8.738 0.000 0.000
0.000 6.825 -0.024
0.000 1.600 8.334
O B H Ba
26 12 8 4
direct
0.345 0.513 0.692
0.793 0.063 0.921
0.695 0.085 0.441
0.844 0.408 0.591
0.040 0.161 0.639
0.453 0.663 0.041
0.293 0.937 0.079
0.296 0.250 0.535
0.122 0.584 0.019
0.052 0.009 0.966
0.845 0.487 0.308
0.622 0.416 0.981
0.540 0.839 0.361
0.773 0.962 0.207
0.601 0.733 0.792
0.605 0.498 0.452
0.105 0.502 0.548
0.101 0.267 0.208
0.195 0.915 0.559
0.344 0.592 0.409
0.730 0.718 0.039
0.953 0.337 0.959
0.552 0.991 0.034
0.230 0.282 0.961
0.273 0.038 0.793
0.796 0.750 0.465
0.713 0.928 0.057
0.203 0.094 0.634
0.433 0.859 0.053
0.604 0.632 0.963
0.997 0.354 0.591
0.104 0.368 0.037
0.497 0.646 0.409
0.773 0.542 0.452
0.213 0.072 0.943
0.273 0.458 0.548
0.703 0.906 0.366
0.933 0.141 0.947
0.518 0.676 0.738
0.229 0.623 0.008
0.798 0.559 0.208
0.729 0.377 0.992
0.298 0.441 0.792
0.765 0.188 0.391
0.018 0.324 0.262
0.265 0.812 0.609
0.928 0.753 0.764
0.067 0.807 0.283
0.567 0.193 0.717
0.428 0.247 0.236
```

For the electronic total energy, the calculation gives -9.97 eV/atom. The space group is P2_1 (4). The calculation puts the formation energy at -2.432 eV/atom. The volume is 9.95 Å³/atom.


Entry 7:
Crystalline NbCo3 at its relaxed geometry. Source: the Materials Project, functional meta-GGA r2SCAN.

Structure (POSCAR):
```
NbCo3
1.0
3.615 0.000 0.000
0.000 3.614 0.000
0.000 0.000 3.614
Co Nb
3 1
direct
0.500 0.000 0.500
0.500 0.500 0.000
0.000 0.500 0.500
0.000 0.000 0.000
```

For the electronic total energy, the calculation gives -16.05 eV/atom. The space group is Pm-3m (221). The calculation puts the formation energy at 0.056 eV/atom. The volume is 11.81 Å³/atom.


Entry 8:
Crystalline W3Se2S4 at its relaxed geometry. Source: the Materials Project, functional meta-GGA r2SCAN.

Structure (POSCAR):
```
W3Se2S4
1.0
-2.238 2.292 0.374
0.531 -2.136 2.357
19.635 17.323 11.277
W Se S
3 2 4
direct
0.000 0.000 0.117
0.000 0.000 0.579
0.333 0.667 0.345
0.333 0.667 0.638
0.333 0.667 0.519
0.000 0.000 0.400
0.000 0.000 0.291
0.333 0.667 0.171
0.333 0.667 0.063
```

For the electronic total energy, the calculation gives -24.65 eV/atom. The space group is P3m1 (156). The calculation puts the formation energy at -0.773 eV/atom. The volume is 28.54 Å³/atom.


| no. | total magnetization (μB per cell) |
| --- | --- |
| 1 | 0.00 |
| 2 | 0.00 |
| 3 | 0.00 |
| 4 | 0.00 |
| 5 | 0.00 |
| 6 | 0.00 |
| 7 | 0.00 |
| 8 | 0.00 |